A relaxed structure of U3Al3CoRu2, computed with GGA-PBE.

Results
The energy of formation is -0.361 eV/atom. The calculated volume is 161 Å³ per cell.

Geometry as CIF:
```
data_U3Al3CoRu2
_chemical_formula_sum 'U3 Al3 Co1 Ru2'
_symmetry_space_group_name_H-M 'P 1'
_symmetry_Int_Tables_number 1
_cell_length_a 6.7600
_cell_length_b 6.7600
_cell_length_c 4.0609
_cell_angle_alpha 90.00
_cell_angle_beta 90.00
_cell_angle_gamma 120.00
loop_
_symmetry_equiv_pos_as_xyz
'x,y,z'
loop_
_atom_site_label
_atom_site_fract_x
_atom_site_fract_y
_atom_site_fract_z
U1 0.0000 0.4157 0.5000
U2 0.5843 0.5843 0.5000
U3 0.4157 0.0000 0.5000
Al1 0.0000 0.7686 0.0000
Al2 0.2314 0.2314 0.0000
Al3 0.7686 0.0000 0.0000
Co1 0.0000 0.0000 0.5000
Ru1 0.3333 0.6667 0.0000
Ru2 0.6667 0.3333 0.0000
```



A relaxed structure of NaZnPO4, computed with GGA-PBE.

Results
As for the excess energy over the best structure of this formula in the dataset: 8 meV per atom. The energy of formation is -2.483 eV/atom. The calculated volume is 1128 Å³ per cell. The total moment is 0.00 Bohr magnetons per cell.

Geometry as CIF:
```
data_NaZnPO4
_chemical_formula_sum 'Na12 Zn12 P12 O48'
_symmetry_space_group_name_H-M 'P 1'
_symmetry_Int_Tables_number 1
_cell_length_a 8.2687
_cell_length_b 8.8018
_cell_length_c 17.7912
_cell_angle_alpha 60.61
_cell_angle_beta 90.00
_cell_angle_gamma 90.00
loop_
_symmetry_equiv_pos_as_xyz
'x,y,z'
loop_
_atom_site_label
_atom_site_fract_x
_atom_site_fract_y
_atom_site_fract_z
Na1 0.4689 0.2069 0.0651
Na2 0.9689 0.7931 0.4349
Na3 0.5311 0.7931 0.9349
Na4 0.0311 0.2069 0.5651
Na5 0.5316 0.8556 0.4081
Na6 0.0316 0.1444 0.0919
Na7 0.4684 0.1444 0.5919
Na8 0.9684 0.8556 0.9081
Na9 0.5427 0.4939 0.2475
Na10 0.0427 0.5061 0.2525
Na11 0.4573 0.5061 0.7525
Na12 0.9573 0.4939 0.7475
Zn1 0.2193 0.8203 0.2651
Zn2 0.7193 0.1797 0.2349
Zn3 0.7807 0.1797 0.7349
Zn4 0.2807 0.8203 0.7651
Zn5 0.7134 0.4697 0.4212
Zn6 0.2134 0.5303 0.0788
Zn7 0.2866 0.5303 0.5788
Zn8 0.7866 0.4697 0.9212
Zn9 0.2180 0.1545 0.4074
Zn10 0.7180 0.8455 0.0926
Zn11 0.7820 0.8455 0.5926
Zn12 0.2820 0.1545 0.9074
P1 0.8267 0.8097 0.2666
P2 0.3267 0.1903 0.2334
P3 0.1733 0.1903 0.7334
P4 0.6733 0.8097 0.7666
P5 0.3251 0.4761 0.4215
P6 0.8251 0.5239 0.0785
P7 0.6749 0.5239 0.5785
P8 0.1749 0.4761 0.9215
P9 0.8264 0.1500 0.4083
P10 0.3264 0.8500 0.0917
P11 0.1736 0.8500 0.5917
P12 0.6736 0.1500 0.9083
O1 0.3474 0.0927 0.3332
O2 0.8474 0.9073 0.1668
O3 0.6526 0.9073 0.6668
O4 0.1526 0.0927 0.8332
O5 0.2379 0.0746 0.2026
O6 0.7379 0.9254 0.2974
O7 0.7621 0.9254 0.7974
O8 0.2621 0.0746 0.7026
O9 0.2296 0.3620 0.2039
O10 0.7296 0.6380 0.2961
O11 0.7704 0.6380 0.7961
O12 0.2704 0.3620 0.7039
O13 0.4954 0.2402 0.1891
O14 0.9954 0.7598 0.3109
O15 0.5046 0.7598 0.8109
O16 0.0046 0.2402 0.6891
O17 0.2314 0.4085 0.3678
O18 0.7314 0.5915 0.1322
O19 0.7686 0.5915 0.6322
O20 0.2686 0.4085 0.8678
O21 0.2310 0.7433 0.1772
O22 0.2267 0.4298 0.5050
O23 0.7733 0.5702 0.4950
O24 0.2733 0.4298 0.0050
O25 0.3520 0.6765 0.3669
O26 0.8520 0.3235 0.1331
O27 0.6480 0.3235 0.6331
O28 0.1480 0.6765 0.8669
O29 0.4907 0.3807 0.4483
O30 0.9907 0.6193 0.0517
O31 0.5093 0.6193 0.5517
O32 0.0093 0.3807 0.9483
O33 0.3479 0.7379 0.0466
O34 0.8479 0.2621 0.4534
O35 0.6521 0.2621 0.9534
O36 0.1521 0.7379 0.5466
O37 0.9947 0.1006 0.3878
O38 0.4947 0.8994 0.1122
O39 0.0053 0.8994 0.6122
O40 0.5053 0.1006 0.8878
O41 0.2671 0.0224 0.5319
O42 0.7671 0.9776 0.9681
O43 0.7329 0.9776 0.4681
O44 0.2329 0.0224 0.0319
O45 0.2690 0.7433 0.6772
O46 0.7690 0.2567 0.8228
O47 0.7310 0.2567 0.3228
O48 0.7267 0.5702 0.9950
```



A relaxed structure of Nd2Mg, computed with GGA-PBE.

Results
As for the excess energy over the best structure of this formula in the dataset: 17 meV per atom. The energy of formation is -0.042 eV/atom. The calculated volume is 190 Å³ per cell.

Geometry as CIF:
```
data_Nd2Mg
_chemical_formula_sum 'Nd4 Mg2'
_symmetry_space_group_name_H-M 'P 1'
_symmetry_Int_Tables_number 1
_cell_length_a 7.0151
_cell_length_b 7.0151
_cell_length_c 7.6805
_cell_angle_alpha 74.65
_cell_angle_beta 74.65
_cell_angle_gamma 31.44
loop_
_symmetry_equiv_pos_as_xyz
'x,y,z'
loop_
_atom_site_label
_atom_site_fract_x
_atom_site_fract_y
_atom_site_fract_z
Nd1 0.8526 0.8526 0.5610
Nd2 0.1474 0.1474 0.4390
Nd3 0.8332 0.8332 0.0955
Nd4 0.1668 0.1668 0.9045
Mg1 0.4904 0.4904 0.7744
Mg2 0.5096 0.5096 0.2256
```



A relaxed structure of InGaS3, computed with GGA-PBE.

Results
The energy of formation is -0.905 eV/atom. The calculated volume is 235 Å³ per cell. As for the maximum piezoelectric response: 0.23 C/m². The total moment is 0.00 Bohr magnetons per cell.

Geometry as CIF:
```
data_InGaS3
_chemical_formula_sum 'In2 Ga2 S6'
_symmetry_space_group_name_H-M 'P 1'
_symmetry_Int_Tables_number 1
_cell_length_a 10.0824
_cell_length_b 10.0824
_cell_length_c 6.2334
_cell_angle_alpha 90.00
_cell_angle_beta 90.00
_cell_angle_gamma 158.23
loop_
_symmetry_equiv_pos_as_xyz
'x,y,z'
loop_
_atom_site_label
_atom_site_fract_x
_atom_site_fract_y
_atom_site_fract_z
In1 0.6675 0.3325 0.4979
In2 0.3325 0.6675 0.9979
Ga1 0.1155 0.8845 0.9425
Ga2 0.8845 0.1155 0.4425
S1 0.1048 0.8952 0.3034
S2 0.8952 0.1048 0.8034
S3 0.4333 0.5667 0.2917
S4 0.5667 0.4333 0.7917
S5 0.2193 0.7807 0.7584
S6 0.7807 0.2193 0.2584
```



A relaxed structure of PbS2, computed with GGA-PBE.

Results
The energy of formation is -0.623 eV/atom. The calculated volume is 146 Å³ per cell.

Geometry as CIF:
```
data_PbS2
_chemical_formula_sum 'Pb2 S4'
_symmetry_space_group_name_H-M 'P 1'
_symmetry_Int_Tables_number 1
_cell_length_a 5.8013
_cell_length_b 5.8013
_cell_length_c 5.8013
_cell_angle_alpha 115.68
_cell_angle_beta 115.68
_cell_angle_gamma 97.66
loop_
_symmetry_equiv_pos_as_xyz
'x,y,z'
loop_
_atom_site_label
_atom_site_fract_x
_atom_site_fract_y
_atom_site_fract_z
Pb1 0.7500 0.7500 0.0000
Pb2 0.2500 0.2500 0.0000
S1 0.1194 0.6194 0.7387
S2 0.8806 0.3806 0.2613
S3 0.6194 0.8806 0.5000
S4 0.3806 0.1194 0.5000
```



A relaxed structure of KRb2InBr6, computed with GGA-PBE.

Results
The energy of formation is -1.700 eV/atom. The calculated volume is 399 Å³ per cell.

Geometry as CIF:
```
data_KRb2InBr6
_chemical_formula_sum 'K1 Rb2 In1 Br6'
_symmetry_space_group_name_H-M 'P 1'
_symmetry_Int_Tables_number 1
_cell_length_a 8.2647
_cell_length_b 8.2647
_cell_length_c 8.2647
_cell_angle_alpha 60.00
_cell_angle_beta 60.00
_cell_angle_gamma 60.00
loop_
_symmetry_equiv_pos_as_xyz
'x,y,z'
loop_
_atom_site_label
_atom_site_fract_x
_atom_site_fract_y
_atom_site_fract_z
K1 0.5000 0.5000 0.5000
Rb1 0.7500 0.7500 0.7500
Rb2 0.2500 0.2500 0.2500
In1 0.0000 0.0000 0.0000
Br1 0.7686 0.2314 0.2314
Br2 0.2314 0.2314 0.7686
Br3 0.2314 0.7686 0.7686
Br4 0.2314 0.7686 0.2314
Br5 0.7686 0.2314 0.7686
Br6 0.7686 0.7686 0.2314
```